Compound: Ba2VO4
Source: Materials Project
Functional: GGA+U
Structure: optimized geometry

Results
* DFT total energy: -195.1 eV/cell
* total energy after the MP2020 corrections: -212.92 eV per cell

Lattice parameters (Å, degrees): 6.260 7.795 11.788 90.00 117.48 90.00
Space group P2_1/c (No. 14)
One atom of each set of equivalent atoms:
1 Ba 0.022 0.005 0.302 x4
2 Ba 0.311 0.659 0.573 x4
3 V 0.342 0.220 0.582 x4
4 O 0.141 0.173 0.133 x4
5 O 0.257 0.175 0.927 x4
6 O 0.281 0.507 0.078 x4
7 O 0.334 0.747 0.326 x4

=====

Compound: BaV2O7
Source: Materials Project
Functional: GGA+U
Structure: optimized geometry

Results
* DFT total energy: -275.0 eV/cell
* total energy after the MP2020 corrections: -307.87 eV per cell

Lattice parameters (Å, degrees): 7.398 9.056 10.645 90.00 90.00 90.00
Space group P2_12_12_1 (No. 19)
One atom of each set of equivalent atoms:
1 Ba 0.243 0.117 0.010 x4
2 V 0.028 0.230 0.318 x4
3 V 0.229 0.489 0.506 x4
4 O 0.017 0.764 0.334 x4
5 O 0.067 0.403 0.400 x4
6 O 0.105 0.613 0.586 x4
7 O 0.109 0.416 0.931 x4
8 O 0.159 0.128 0.680 x4
9 O 0.170 0.650 0.107 x4
10 O 0.206 0.115 0.326 x4

=====

Compound: Ba2V3O9
Source: Materials Project
Functional: GGA+U
Structure: optimized geometry

Results
* DFT total energy: -207.7 eV/cell
* total energy after the MP2020 corrections: -230.22 eV per cell

Lattice parameters (Å, degrees): 8.511 5.968 9.473 90.00 114.28 90.00
Space group P2_1 (No. 4)
One atom of each set of equivalent atoms:
1 Ba 0.201 0.000 0.090 x2
2 Ba 0.209 0.498 0.736 x2
3 V 0.082 0.500 0.311 x2
4 V 0.483 0.500 0.180 x2
5 V 0.487 0.769 0.494 x2
6 O 0.011 0.728 0.190 x2
7 O 0.012 0.268 0.193 x2
8 O 0.016 0.002 0.566 x2
9 O 0.272 0.500 0.049 x2
10 O 0.320 0.503 0.425 x2
11 O 0.349 0.998 0.428 x2
12 O 0.386 0.999 0.916 x2
13 O 0.478 0.246 0.704 x2
14 O 0.479 0.753 0.704 x2

=====

Compound: Ba2V2O7
Source: Materials Project
Functional: GGA+U
Structure: optimized geometry

Results
* DFT total energy: -322.3 eV/cell
* total energy after the MP2020 corrections: -355.16 eV per cell

Lattice parameters (Å, degrees): 7.498 7.520 13.771 81.34 88.06 89.46
Space group P-1 (No. 2)
One atom of each set of equivalent atoms:
1 Ba 0.084 0.334 0.157 x2
2 Ba 0.232 0.732 0.348 x2
3 Ba 0.332 0.283 0.860 x2
4 Ba 0.362 0.872 0.640 x2
5 V 0.158 0.809 0.085 x2
6 V 0.170 0.194 0.413 x2
7 V 0.228 0.397 0.606 x2
8 V 0.429 0.801 0.893 x2
9 O 0.002 0.125 0.347 x2
10 O 0.007 0.323 0.951 x2
11 O 0.064 0.957 0.154 x2
12 O 0.090 0.431 0.704 x2
13 O 0.093 0.280 0.526 x2
14 O 0.293 0.351 0.337 x2
15 O 0.293 0.663 0.160 x2
16 O 0.294 0.917 0.978 x2
17 O 0.299 0.662 0.834 x2
18 O 0.304 0.596 0.543 x2
19 O 0.313 0.013 0.445 x2
20 O 0.395 0.312 0.051 x2
21 O 0.400 0.262 0.655 x2
22 O 0.495 0.031 0.196 x2

=====

Compound: BaV3O8
Source: Materials Project
Functional: GGA+U
Structure: optimized geometry

Results
* DFT total energy: -179.6 eV/cell
* total energy after the MP2020 corrections: -200.75 eV per cell

Lattice parameters (Å, degrees): 7.608 5.638 8.386 90.00 107.39 90.00
Space group P2_1/m (No. 11)
One atom of each set of equivalent atoms:
1 Ba 0.216 0.250 0.398 x2
2 V 0.069 0.250 0.861 x2
3 V 0.295 0.750 0.722 x2
4 V 0.415 0.750 0.182 x2
5 O 0.130 0.503 0.771 x4
6 O 0.168 0.250 0.067 x2
7 O 0.177 0.750 0.516 x2
8 O 0.182 0.750 0.189 x2
9 O 0.428 0.750 0.986 x2
10 O 0.477 0.003 0.701 x4

=====

Compound: BaV4O9
Source: Materials Project
Functional: GGA+U
Structure: optimized geometry

Results
* DFT total energy: -213.3 eV/cell
* total energy after the MP2020 corrections: -239.24 eV per cell

Lattice parameters (Å, degrees): 7.911 5.090 9.580 90.00 111.60 90.00
Space group P2/c (No. 13)
One atom of each set of equivalent atoms:
1 Ba 0.000 0.170 0.250 x2
2 V 0.307 0.242 0.653 x4
3 V 0.448 0.257 0.055 x4
4 O 0.119 0.373 0.661 x4
5 O 0.230 0.065 0.065 x4
6 O 0.326 0.403 0.475 x4
7 O 0.412 0.078 0.851 x4
8 O 0.500 0.476 0.250 x2

=====

Compound: BaV10O17
Source: Materials Project
Functional: GGA+U
Structure: optimized geometry

Results
* DFT total energy: -883.1 eV/cell
* total energy after the MP2020 corrections: -997.78 eV per cell

Lattice parameters (Å, degrees): 19.305 6.037 14.372 90.00 129.82 90.00
Space group C2/c (No. 15)
One atom of each set of equivalent atoms:
1 Ba 0.000 0.119 0.250 x4
2 V 0.089 0.372 0.104 x8
3 V 0.091 0.370 0.914 x8
4 V 0.093 0.122 0.594 x8
5 V 0.229 0.377 0.881 x8
6 V 0.232 0.127 0.390 x8
7 O 0.000 0.373 0.750 x4
8 O 0.034 0.137 0.962 x8
9 O 0.041 0.388 0.463 x8
10 O 0.129 0.120 0.215 x8
11 O 0.143 0.370 0.722 x8
12 O 0.174 0.141 0.920 x8
13 O 0.175 0.393 0.419 x8
14 O 0.195 0.370 0.102 x8
15 O 0.203 0.124 0.610 x8

=====

Compound: Ba3V2O8
Source: Materials Project
Functional: GGA+U
Structure: optimized geometry

Results
* DFT total energy: -281.6 eV/cell
* total energy after the MP2020 corrections: -308.26 eV per cell

Lattice parameters (Å, degrees): 5.9002 5.9002 21.5929 90.00 90.00 120.00
Space group R-3m (No. 166, hexagonal axes)
One atom of each set of equivalent atoms:
1 Ba 0.0000 0.0000 0.0000 x3
2 Ba 0.0000 0.0000 0.2053 x6
3 V 0.0000 0.0000 0.4073 x6
4 O 0.0000 0.0000 0.3272 x6
5 O 0.0105 0.5052 0.2323 x18

=====

no.,energy of formation from the pure elements (eV per formula unit)
1,-20.52
2,-22.24
3,-39.49
4,-32.15
5,-31.62
6,-36.83
7,-72.57
8,-39.25